Arrangement w

The following is a DFT calculation (PBE) of a relaxed structure of HfP2S6.

Geometry as extended XYZ:
```
18
Lattice="0.000 5.831 10.911 4.118 0.000 10.911 4.118 5.831 0.000" Properties=species:S:1:pos:R:3 pbc="T T T"
Hf 4.079 5.860 18.559
Hf 2.050 2.964 2.213
P 5.006 5.077 15.033
P 7.064 9.451 20.406
P 5.250 8.024 20.453
P 3.231 6.602 14.983
S 6.322 5.573 9.324
S 1.939 6.132 9.281
S 1.767 5.519 5.915
S 2.377 0.276 5.876
S 4.402 2.571 11.322
S 3.880 9.075 11.307
S 1.918 6.204 13.458
S 6.259 5.501 13.476
S 4.249 9.152 7.994
S 3.991 2.507 7.992
S 4.283 3.198 14.815
S 4.029 8.424 14.768
```

Output
SG: P1, No. 1
V (Å³/atom): 29.11



Arrangement x

The following is a DFT calculation (PBE) of a relaxed structure of HfP2S6.

Geometry as extended XYZ:
```
18
Lattice="0.000 5.831 10.911 4.118 0.000 10.911 4.118 5.831 0.000" Properties=species:S:1:pos:R:3 pbc="T T T"
Hf 2.059 2.916 7.659
Hf 4.118 5.831 2.204
P 2.937 3.639 4.085
P 0.877 5.108 9.541
P 3.241 0.723 9.541
P 1.182 2.193 4.085
S 4.252 9.054 9.328
S 3.984 2.609 9.328
S 3.846 3.212 5.872
S 4.391 8.451 5.872
S 6.450 6.128 11.327
S 1.786 5.535 11.327
S 4.027 2.541 13.456
S 4.210 9.122 13.456
S 2.151 5.457 8.001
S 6.086 6.206 8.001
S 6.312 5.524 14.784
S 1.925 6.138 14.784
```

Output
SG: Fdd2, No. 43
Largest piezoelectric modulus (C/m2): 0.2
V (Å³/atom): 29.11



Which of them is the most stable, and which is the least stable? arrangement x and arrangement w, in that order.



Arrangement w

The following is a DFT calculation (PBE) of a relaxed structure of Sm3Hf.

Geometry as extended XYZ:
```
4
Lattice="-2.373 -4.128 -1.328 4.148 -2.603 0.677 -1.265 -0.789 4.713" Properties=species:S:1:pos:R:3 pbc="T T T"
Sm -1.819 -2.459 1.693
Sm 1.442 -1.696 2.695
Sm 0.887 -3.365 -0.325
Hf 0.000 0.000 0.000
```

Output
SG: Pm-3m, No. 221
V (Å³/atom): 30.20



Arrangement x

The following is a DFT calculation (PBE) of a relaxed structure of Sm3Hf.

Geometry as extended XYZ:
```
4
Lattice="5.434 -1.811 -1.845 4.210 2.848 3.221 -4.881 -3.097 1.670" Properties=species:S:1:pos:R:3 pbc="T T T"
Sm 2.687 -2.195 0.257
Sm 2.075 0.134 2.789
Sm 4.822 0.518 0.688
Hf 0.000 0.000 0.000
```

Output
SG: I4/mmm, No. 139
V (Å³/atom): 29.92



Which of them is the most stable, and which is the least stable? arrangement w and arrangement x, in that order.



Arrangement w

The following is a DFT calculation (PBE) of a relaxed structure of LiIn4Hg2O8.

Geometry as extended XYZ:
```
15
Lattice="-0.001 4.656 4.657 4.863 -0.207 4.863 4.657 4.656 -0.001" Properties=species:S:1:pos:R:3 pbc="T T T"
Li 2.436 -0.094 2.436
In 2.431 2.225 4.760
In 2.328 4.656 2.328
In 4.760 2.225 2.431
In 4.759 4.552 4.759
Hg 0.975 1.349 0.975
Hg 8.541 7.753 8.541
O 2.522 2.348 2.522
O 2.521 4.463 4.633
O 4.883 4.643 6.997
O 4.935 6.705 4.935
O 4.583 2.401 4.583
O 4.633 4.463 2.521
O 6.997 4.643 4.883
O 6.997 6.754 6.997
```

Output
SG: Cm, No. 8
V (Å³/atom): 14.36



Arrangement x

The following is a DFT calculation (PBE) of a relaxed structure of LiIn4Hg2O8.

Geometry as extended XYZ:
```
15
Lattice="-0.998 -2.046 6.486 0.803 4.464 5.165 -5.477 2.224 3.493" Properties=species:S:1:pos:R:3 pbc="T T T"
Li -2.135 1.741 5.668
In -5.453 3.401 9.327
In -2.506 4.447 10.110
In -3.349 1.401 10.728
In -2.879 2.356 7.686
Hg -0.710 0.580 1.892
Hg -4.962 4.062 13.254
O -1.524 1.246 4.062
O -1.951 0.380 6.822
O -1.782 2.439 9.590
O -4.510 1.470 8.865
O -1.187 3.143 6.261
O -3.860 2.194 5.552
O -3.729 4.291 8.292
O -4.164 3.406 11.109
```

Output
SG: Imm2, No. 44
V (Å³/atom): 15.31



Which of them is the most stable, and which is the least stable? arrangement w and arrangement x, in that order.



Arrangement w

The following is a DFT calculation (PBE) of a relaxed structure of In2HgTe4.

Geometry as extended XYZ:
```
7
Lattice="-3.207 3.207 6.359 3.207 -3.207 6.359 3.207 3.207 -6.359" Properties=species:S:1:pos:R:3 pbc="T T T"
In 3.207 0.000 3.179
In 0.000 0.000 6.359
Hg 0.000 0.000 0.000
Te 4.646 1.477 -1.747
Te -1.439 1.730 4.612
Te 1.477 1.768 1.747
Te 1.730 1.439 8.106
```

Output
SG: I-4, No. 82
Largest piezoelectric modulus (C/m2): 0.2
V (Å³/atom): 37.37



Arrangement x

The following is a DFT calculation (PBE) of a relaxed structure of In2HgTe4.

Geometry as extended XYZ:
```
7
Lattice="-3.084 3.084 5.982 3.084 -3.084 5.982 3.084 3.084 -5.982" Properties=species:S:1:pos:R:3 pbc="T T T"
In 3.084 0.000 2.991
In 0.000 0.000 5.982
Hg 0.000 3.084 2.991
Te 3.084 0.000 5.881
Te 0.000 0.000 8.904
Te 3.084 0.000 0.101
Te 0.000 0.000 3.061
```

Output
SG: I-4m2, No. 119
V (Å³/atom): 32.51



Which of them is the most stable, and which is the least stable? arrangement w and arrangement x, in that order.



Arrangement w

The following is a DFT calculation (PBE) of a relaxed structure of Mg5Hg.

Geometry as extended XYZ:
```
6
Lattice="-3.668 2.387 4.155 -2.929 -0.605 5.241 4.650 2.910 4.853" Properties=species:S:1:pos:R:3 pbc="T T T"
Mg 2.557 3.250 7.213
Mg -1.287 3.136 9.514
Mg -3.475 3.437 11.833
Mg -0.602 1.553 4.689
Mg 0.018 0.023 0.052
Hg -2.727 1.895 7.074
```

Output
SG: Cm, No. 8
V (Å³/atom): 22.52



Arrangement x

The following is a DFT calculation (PBE) of a relaxed structure of Mg5Hg.

Geometry as extended XYZ:
```
6
Lattice="2.699 -4.675 0.000 2.699 4.675 0.000 0.000 0.000 5.235" Properties=species:S:1:pos:R:3 pbc="T T T"
Mg 0.885 -1.533 2.618
Mg 3.628 0.000 2.618
Mg 0.885 1.533 2.618
Mg 2.699 1.558 0.000
Mg 2.699 -1.558 0.000
Hg 0.000 0.000 0.000
```

Output
SG: P-62m, No. 189
V (Å³/atom): 22.02



Which of them is the most stable, and which is the least stable? arrangement x and arrangement w, in that order.



Arrangement w

The following is a DFT calculation (PBE) of a relaxed structure of Mg5Hg.

Geometry as extended XYZ:
```
6
Lattice="1.632 -8.081 0.000 1.632 8.081 0.000 0.000 0.000 5.048" Properties=species:S:1:pos:R:3 pbc="T T T"
Mg 1.632 8.078 2.524
Mg 1.632 -2.756 2.524
Mg 1.632 2.673 2.524
Mg 1.632 -0.911 0.000
Mg 1.632 -6.197 0.000
Hg 1.632 4.501 0.000
```

Output
SG: Amm2, No. 38
V (Å³/atom): 22.19



Arrangement x

The following is a DFT calculation (PBE) of a relaxed structure of Mg5Hg.

Geometry as extended XYZ:
```
6
Lattice="5.372 -2.734 0.000 5.372 2.734 0.000 3.980 0.000 4.527" Properties=species:S:1:pos:R:3 pbc="T T T"
Mg 7.361 1.834 2.263
Mg 6.895 -0.917 3.781
Mg 7.828 -0.917 0.746
Mg 4.902 0.000 1.507
Mg 9.820 0.000 3.020
Hg 0.000 0.000 0.000
```

Output
SG: R32, No. 155
V (Å³/atom): 22.16



Which of them is the most stable, and which is the least stable? arrangement w and arrangement x, in that order.



Arrangement w

The following is a DFT calculation (PBE) of a relaxed structure of MgTi2Hg2O6.

Geometry as extended XYZ:
```
11
Lattice="-2.648 3.648 3.764 1.633 2.500 7.910 3.003 5.691 3.287" Properties=species:S:1:pos:R:3 pbc="T T T"
Mg 2.195 10.185 12.923
Ti 1.489 6.151 7.518
Ti 0.145 0.315 0.892
Hg 1.837 7.705 10.612
Hg 0.888 3.589 5.023
O 1.466 4.209 7.647
O -1.019 4.327 5.566
O 1.775 6.128 5.515
O 0.741 8.040 7.025
O 0.012 6.098 8.780
O 3.016 6.515 8.306
```

Output
SG: P1, No. 1
V (Å³/atom): 15.57



Arrangement x

The following is a DFT calculation (PBE) of a relaxed structure of MgTi2Hg2O6.

Geometry as extended XYZ:
```
11
Lattice="5.683 0.669 4.591 2.576 5.110 4.591 0.956 0.669 7.243" Properties=species:S:1:pos:R:3 pbc="T T T"
Mg 1.507 1.055 2.687
Ti 4.489 3.141 8.002
Ti 8.441 5.906 15.045
Hg 6.916 4.839 12.327
Hg 2.998 2.098 5.343
O 3.334 4.283 7.098
O 5.504 2.592 6.545
O 3.366 1.664 8.108
O 5.962 2.014 9.152
O 5.760 4.911 8.128
O 3.504 3.729 9.858
```

Output
SG: R3, No. 146
V (Å³/atom): 15.35



Which of them is the most stable, and which is the least stable? arrangement w and arrangement x, in that order.



Arrangement w

The following is a DFT calculation (PBE) of a relaxed structure of Hg3PO4.

Geometry as extended XYZ:
```
32
Lattice="8.369 0.000 0.000 0.000 8.076 0.000 0.000 4.926 8.962" Properties=species:S:1:pos:R:3 pbc="T T T"
Hg 1.883 6.359 5.133
Hg 3.323 9.591 4.745
Hg 7.920 8.772 3.481
Hg 5.046 3.411 4.217
Hg 4.633 11.235 7.963
Hg 7.507 5.874 8.699
Hg 2.301 3.896 0.652
Hg 0.449 4.230 5.481
Hg 6.068 9.106 8.310
Hg 6.485 6.643 3.829
Hg 0.861 7.128 0.264
Hg 3.736 1.767 1.000
P 0.566 9.395 6.756
P 3.619 6.932 2.275
P 7.803 3.607 2.207
P 4.750 6.070 6.688
O 6.837 2.854 1.238
O 2.652 7.685 3.243
O 5.716 5.317 5.719
O 0.253 4.716 1.517
O 4.437 5.823 2.964
O 6.949 4.263 3.368
O 8.115 8.286 7.445
O 4.617 7.954 1.614
O 2.765 6.276 1.113
O 1.532 10.147 7.724
O 1.420 8.739 5.594
O 3.931 7.179 5.998
O 7.936 10.417 6.095
O 0.433 2.585 2.868
O 5.604 6.726 7.849
O 3.751 5.047 7.349
```

Output
SG: P2_1/c, No. 14
V (Å³/atom): 18.93



Arrangement x

The following is a DFT calculation (PBE) of a relaxed structure of Hg3PO4.

Geometry as extended XYZ:
```
32
Lattice="-1.129 -4.946 -0.861 3.053 0.772 -8.439 13.855 -2.537 -3.594" Properties=species:S:1:pos:R:3 pbc="T T T"
Hg 6.387 -1.363 -5.225
Hg 15.012 -3.629 -9.935
Hg 8.335 -1.263 -7.947
Hg 0.767 -3.081 -2.959
Hg 7.444 -5.447 -4.948
Hg 2.685 -3.112 -5.703
Hg 9.392 -5.347 -7.669
Hg 13.094 -3.598 -7.191
Hg 10.649 -2.587 -10.475
Hg 11.786 -6.577 -4.423
Hg 5.130 -4.123 -2.419
Hg 3.993 -0.133 -8.471
P 3.733 -0.953 -2.902
P 12.046 -5.758 -9.992
P 5.428 -3.136 -7.959
P 10.351 -3.574 -4.935
O 10.645 -3.961 -6.436
O 11.508 -6.445 -8.678
O 5.135 -2.749 -6.459
O 4.271 -0.265 -4.216
O 10.742 -2.084 -4.715
O 12.338 -4.259 -9.691
O 5.037 -4.626 -8.179
O 3.441 -2.452 -3.203
O 11.244 -4.461 -4.005
O 2.419 -0.275 -2.414
O 4.535 -2.249 -8.889
O 4.845 -0.877 -1.804
O 8.843 -3.752 -4.596
O 13.360 -6.435 -10.480
O 6.936 -2.958 -8.299
O 10.934 -5.834 -11.090
```

Output
SG: P2_1/c, No. 14
V (Å³/atom): 17.72



Which of them is the most stable, and which is the least stable? arrangement w and arrangement x, in that order.



Arrangement w

The following is a DFT calculation (PBE) of a relaxed structure of HgPO4.

Geometry as extended XYZ:
```
24
Lattice="-0.380 3.882 5.131 -0.473 -5.355 4.918 7.076 -0.316 2.086" Properties=species:S:1:pos:R:3 pbc="T T T"
Hg 1.177 -1.114 2.432
Hg 5.046 -0.675 9.704
Hg 1.112 -2.754 6.858
Hg 5.111 0.964 5.278
P 1.435 0.636 5.186
P 4.788 -2.426 6.951
P 1.365 -0.625 9.327
P 4.858 -1.165 2.809
O 0.778 0.587 3.747
O 5.444 -2.377 8.389
O 0.339 1.271 6.095
O 5.883 -3.061 6.041
O 1.819 -0.792 5.621
O 4.404 -0.997 6.516
O 2.730 1.463 5.210
O 3.492 -3.253 6.926
O 0.991 -4.478 5.574
O 5.232 2.688 6.562
O 0.397 -1.400 8.363
O 5.825 -0.390 3.773
O 2.028 -3.068 3.721
O 4.195 1.279 8.415
O 2.712 -1.349 9.398
O 3.510 -0.440 2.738
```

Output
SG: P-1, No. 2
V (Å³/atom): 14.07



Arrangement x

The following is a DFT calculation (PBE) of a relaxed structure of HgPO4.

Geometry as extended XYZ:
```
24
Lattice="-2.471 0.708 -4.177 -11.516 -6.943 5.637 0.052 4.950 6.203" Properties=species:S:1:pos:R:3 pbc="T T T"
Hg -2.012 3.808 1.335
Hg -7.335 -1.861 0.827
Hg -11.924 -5.093 6.328
Hg -6.601 0.576 6.836
P -2.690 -0.597 -1.010
P -5.234 0.329 3.349
P -11.246 -0.688 8.673
P -8.702 -1.614 4.314
O -1.201 4.579 5.758
O -5.415 -0.421 4.707
O -12.736 -5.864 1.905
O -8.521 -0.864 2.956
O -2.591 3.460 3.943
O -5.337 -0.655 2.173
O -11.345 -4.745 3.720
O -8.599 -0.630 5.490
O -3.341 0.779 -1.213
O -6.232 1.495 3.316
O -10.595 -2.064 8.876
O -7.704 -2.780 4.347
O -3.537 -1.379 0.029
O -3.802 0.921 3.273
O -10.399 0.094 7.634
O -10.134 -2.206 4.390
```

Output
SG: P2_1/c, No. 14
V (Å³/atom): 19.28



Which of them is the most stable, and which is the least stable? arrangement w and arrangement x, in that order.